(1)
VASP calculation (PBE) on Mg14ZrB after structural relaxation.

Computed properties:
Offset from the most stable computed form   24 meV/atom

abc: 6.297 6.297 9.993
angles: 90.00 90.00 120.00
Positions (direct):
1 Mg 0.000 0.000 0.241
2 Mg 0.000 0.000 0.759
3 Mg 0.019 0.510 0.261
4 Mg 0.019 0.510 0.739
5 Mg 0.328 0.164 0.500
6 Mg 0.344 0.172 0.000
7 Mg 0.490 0.510 0.261
8 Mg 0.490 0.510 0.739
9 Mg 0.490 0.981 0.261
10 Mg 0.490 0.981 0.739
11 Mg 0.828 0.172 0.000
12 Mg 0.828 0.656 0.000
13 Mg 0.836 0.164 0.500
14 Mg 0.836 0.672 0.500
15 Zr 0.333 0.667 0.000
16 B 0.333 0.667 0.500


(2)
VASP calculation (PBE) on PBr after structural relaxation.

Computed properties:
Offset from the most stable computed form   0 meV/atom

abc: 4.939 5.589 6.306
angles: 93.19 96.34 111.65
Positions (direct):
1 P 0.141 0.000 0.132
2 P 0.859 0.000 0.868
3 Br 0.166 0.355 0.743
4 Br 0.834 0.645 0.257


(3)
VASP calculation (PBE) on LiBeH3 after structural relaxation.

Computed properties:
Offset from the most stable computed form   104 meV/atom

abc: 4.517 6.277 4.395
angles: 90.00 90.00 90.00
Positions (direct):
1 Li 0.049 0.250 0.010
2 Li 0.451 0.750 0.510
3 Li 0.549 0.250 0.490
4 Li 0.951 0.750 0.990
5 Be 0.000 0.000 0.500
6 Be 0.000 0.500 0.500
7 Be 0.500 0.000 0.000
8 Be 0.500 0.500 0.000
9 H 0.017 0.750 0.428
10 H 0.207 0.537 0.792
11 H 0.207 0.963 0.792
12 H 0.293 0.037 0.292
13 H 0.293 0.463 0.292
14 H 0.483 0.250 0.928
15 H 0.517 0.750 0.072
16 H 0.707 0.537 0.708
17 H 0.707 0.963 0.708
18 H 0.793 0.037 0.208
19 H 0.793 0.463 0.208
20 H 0.983 0.250 0.572


(4)
VASP calculation (PBE) on Rb2TlSbF6 after structural relaxation.

Computed properties:
Uncorrected energy   -43.62 eV/cell

abc: 6.883 6.883 6.883
angles: 60.00 60.00 60.00
Positions (direct):
1 Rb 0.250 0.250 0.250
2 Rb 0.750 0.750 0.750
3 Tl 0.000 0.000 0.000
4 Sb 0.500 0.500 0.500
5 F 0.274 0.274 0.726
6 F 0.274 0.726 0.274
7 F 0.274 0.726 0.726
8 F 0.726 0.274 0.274
9 F 0.726 0.274 0.726
10 F 0.726 0.726 0.274